No. 1
Computed, not measured: an optimized crystal structure of MnFeP2O8 at the GGA+U level of DFT.

## Properties
Energy of formation (eV/f.u.): -28.49
Uncorrected energy (eV per atom): -7.260
Polymorph energy (0 for the lowest one) (eV/f.u.): 0.04
Magnetization (μB/cell): 18.002

a b c (Å): 4.9180 6.0046 9.8936
angles (deg): 90.00 90.00 90.00
Sites, in units of the cell vectors:
Mn: 0.5646 0.0000 0.5349
Mn: 0.0646 0.5000 0.4651
P: 0.9192 0.5000 0.1526
P: 0.5787 0.5000 0.6492
P: 0.0787 0.0000 0.3508
P: 0.4192 0.0000 0.8474
O: 0.7208 0.2998 0.5776
O: 0.7683 0.0000 0.3706
O: 0.2208 0.2002 0.4224
O: 0.2261 0.5000 0.1313
O: 0.7208 0.7002 0.5776
O: 0.7737 0.6998 0.0780
O: 0.1376 0.0000 0.1987
O: 0.7261 0.0000 0.8687
O: 0.7737 0.3002 0.0780
O: 0.6376 0.5000 0.8013
O: 0.3479 0.0000 0.6965
O: 0.2737 0.8002 0.9220
O: 0.2208 0.7998 0.4224
O: 0.2737 0.1998 0.9220
O: 0.2683 0.5000 0.6294
O: 0.8479 0.5000 0.3035
Fe: 0.9689 0.0000 0.0236
Fe: 0.4689 0.5000 0.9764

---

No. 2
Computed, not measured: an optimized crystal structure of MnFe2P3O12 at the GGA+U level of DFT.

## Properties
Energy of formation (eV/f.u.): -42.43
Uncorrected energy (eV per atom): -7.207
Polymorph energy (0 for the lowest one) (eV/f.u.): 0.00
Magnetization (μB/cell): 10.004

a b c (Å): 17.8170 4.8701 9.8892
angles (deg): 89.63 90.00 90.00
Sites, in units of the cell vectors:
O: 0.8334 0.7099 0.1184
O: 0.4003 0.7517 0.8319
O: 0.9019 0.2405 0.6673
O: 0.1666 0.1513 0.4433
O: 0.7648 0.2405 0.6672
O: 0.2651 0.7522 0.3316
O: 0.0669 0.7517 0.8323
O: 0.0000 0.2075 0.3794
O: 0.0000 0.2914 0.8804
O: 0.0981 0.2405 0.6673
O: 0.3995 0.7479 0.3318
O: 0.8333 0.7848 0.6198
O: 0.3328 0.6599 0.0571
O: 0.8334 0.1513 0.4433
O: 0.5000 0.3506 0.9423
O: 0.3333 0.8368 0.5574
O: 0.3335 0.2916 0.8801
O: 0.5686 0.2599 0.1662
O: 0.3333 0.2074 0.3796
O: 0.2343 0.2522 0.1668
O: 0.7657 0.2522 0.1668
O: 0.6667 0.2074 0.3796
O: 0.5000 0.7170 0.1191
O: 0.4315 0.2401 0.6656
O: 0.8333 0.3425 0.9409
O: 0.5685 0.2401 0.6656
O: 0.7336 0.7517 0.8319
O: 0.0991 0.2522 0.1668
O: 0.0000 0.8369 0.5572
O: 0.6667 0.8368 0.5574
O: 0.6005 0.7479 0.3318
O: 0.1666 0.7099 0.1184
O: 0.1667 0.3425 0.9409
O: 0.9324 0.7518 0.3314
O: 0.7349 0.7522 0.3316
O: 0.2352 0.2405 0.6672
O: 0.5000 0.7836 0.6187
O: 0.0676 0.7518 0.3314
O: 0.5997 0.7517 0.8319
O: 0.1667 0.7848 0.6198
O: 0.0000 0.6581 0.0575
O: 0.6672 0.6599 0.0571
O: 0.9331 0.7517 0.8323
O: 0.4314 0.2599 0.1662
O: 0.2664 0.7517 0.8319
O: 0.5000 0.1501 0.4413
O: 0.9009 0.2522 0.1668
O: 0.6665 0.2916 0.8801
Mn: 0.1666 0.5730 0.7818
Mn: 0.8334 0.5730 0.7818
Mn: 0.5000 0.5737 0.7818
Mn: 0.5000 0.9245 0.2826
P: 0.6667 0.5992 0.9056
P: 0.0000 0.8980 0.4056
P: 0.0000 0.5989 0.9057
P: 0.1667 0.4014 0.0940
P: 0.5000 0.0984 0.5958
P: 0.5000 0.4028 0.0963
P: 0.8333 0.4014 0.0940
P: 0.8334 0.0998 0.5967
P: 0.6677 0.8986 0.4059
P: 0.3323 0.8986 0.4059
P: 0.1666 0.0998 0.5967
P: 0.3333 0.5992 0.9056
Fe: 0.3338 0.4502 0.2244
Fe: 0.0000 0.4519 0.2256
Fe: 0.1666 0.9498 0.2748
Fe: 0.0000 0.0530 0.7229
Fe: 0.3331 0.0530 0.7230
Fe: 0.6662 0.4502 0.2244
Fe: 0.6669 0.0530 0.7230
Fe: 0.8334 0.9498 0.2748

---

No. 3
Computed, not measured: an optimized crystal structure of Mn3Fe3P4O16 at the GGA+U level of DFT.

## Properties
Energy of formation (eV/f.u.): -62.47
Uncorrected energy (eV per atom): -7.439
Magnetization (μB/cell): 54.000

a b c (Å): 11.4791 6.3403 8.9502
angles (deg): 80.74 90.00 90.00
Sites, in units of the cell vectors:
O: 0.1746 0.4298 0.4789
O: 0.7944 0.6336 0.0583
O: 0.4141 0.7359 0.7272
O: 0.2219 0.8846 0.2286
O: 0.5640 0.9232 0.9297
O: 0.0387 0.0162 0.4632
O: 0.2109 0.8678 0.9442
O: 0.4608 0.5155 0.4631
O: 0.3783 0.1165 0.7020
O: 0.0689 0.6605 0.1238
O: 0.9608 0.4845 0.5369
O: 0.7109 0.1322 0.0558
O: 0.8783 0.8835 0.2980
O: 0.7219 0.1154 0.7714
O: 0.9141 0.2641 0.2728
O: 0.5689 0.3395 0.8762
O: 0.2944 0.3664 0.9417
O: 0.9337 0.8338 0.8699
O: 0.3247 0.9284 0.4803
O: 0.0871 0.2367 0.7261
O: 0.2738 0.3839 0.2253
O: 0.6746 0.5702 0.5211
O: 0.4324 0.5822 0.0744
O: 0.9324 0.4178 0.9256
O: 0.1225 0.6185 0.7004
O: 0.6225 0.3815 0.2996
O: 0.4337 0.1662 0.1301
O: 0.7738 0.6161 0.7747
O: 0.5387 0.9838 0.5368
O: 0.0640 0.0768 0.0703
O: 0.8247 0.0716 0.5197
O: 0.5871 0.7633 0.2739
Mn: 0.1148 0.4029 0.9387
Mn: 0.4276 0.4166 0.7268
Mn: 0.5701 0.0796 0.2798
Mn: 0.6148 0.5971 0.0613
Mn: 0.9276 0.5834 0.2732
Mn: 0.0701 0.9204 0.7202
Fe: 0.8859 0.1129 0.0711
Fe: 0.6962 0.8618 0.6329
Fe: 0.1962 0.1382 0.3671
Fe: 0.3041 0.6372 0.3657
Fe: 0.3859 0.8871 0.9289
Fe: 0.8041 0.3628 0.6343
P: 0.5854 0.5567 0.3929
P: 0.3607 0.3707 0.0922
P: 0.6398 0.1304 0.9083
P: 0.0854 0.4433 0.6071
P: 0.9145 0.0572 0.3927
P: 0.4145 0.9428 0.6073
P: 0.8607 0.6293 0.9078
P: 0.1398 0.8696 0.0917